No. 1
DFT (PBE) results for a relaxed NaMo6Br13 crystal.

- density (kg/m3) = 4520
- symmetry = P-1
- total DFT energy (no corrections) (eV per cell) = -206.05

```
NaMo6Br13
1.0
9.598 0.000 0.000
-4.180 8.802 0.000
-2.979 -3.351 14.242
Mo Br Na
12 26 2
direct
0.551 0.989 0.885 Mo
0.540 0.682 0.584 Mo
0.400 0.781 0.976 Mo
0.600 0.219 0.024 Mo
0.627 0.459 0.595 Mo
0.694 0.007 0.060 Mo
0.318 0.384 0.538 Mo
0.682 0.616 0.462 Mo
0.449 0.011 0.115 Mo
0.306 0.993 0.940 Mo
0.460 0.318 0.416 Mo
0.373 0.541 0.405 Mo
0.258 0.768 0.804 Br
0.842 0.216 0.970 Br
0.235 0.609 0.526 Br
0.058 0.216 0.588 Br
0.407 0.165 0.549 Br
0.647 0.785 0.925 Br
0.593 0.835 0.451 Br
0.481 0.521 0.712 Br
0.541 0.801 0.150 Br
0.942 0.784 0.412 Br
0.613 0.957 0.709 Br
0.845 0.753 0.635 Br
0.519 0.479 0.288 Br
0.158 0.784 0.030 Br
0.260 0.475 0.939 Br
0.810 0.419 0.736 Br
0.353 0.215 0.075 Br
0.765 0.391 0.474 Br
0.387 0.043 0.291 Br
0.036 0.991 0.859 Br
0.742 0.232 0.196 Br
0.740 0.525 0.061 Br
0.190 0.581 0.264 Br
0.964 0.009 0.141 Br
0.459 0.199 0.850 Br
0.155 0.247 0.365 Br
0.002 0.758 0.229 Na
0.998 0.242 0.771 Na
```


No. 2
DFT (PBE) results for a relaxed Rb2NaMoBr6 crystal.

- total magnetic moment (μB/cell) = 3.0
- density (kg/m3) = 3767
- symmetry = Fm-3m
- total DFT energy (no corrections) (eV per cell) = -36.29

```
Rb2NaMoBr6
1.0
-7.191 -3.086 0.202
-6.271 4.652 -0.542
-4.399 -0.100 -6.473
Br Rb Mo Na
6 2 1 1
direct
0.236 0.764 0.236 Br
0.764 0.236 0.764 Br
0.764 0.236 0.236 Br
0.236 0.764 0.764 Br
0.236 0.236 0.764 Br
0.764 0.764 0.236 Br
0.750 0.750 0.750 Rb
0.250 0.250 0.250 Rb
0.000 0.000 0.000 Mo
0.500 0.500 0.500 Na
```


No. 3
DFT (PBE) results for a relaxed MoPt2Br crystal.

- total magnetic moment (μB/cell) = 0.1
- density (kg/m3) = 14047
- symmetry = F-43m
- total DFT energy (no corrections) (eV per cell) = -22.51

```
MoPt2Br
1.0
1.853 -3.071 -2.811
2.303 -3.546 1.699
-1.756 -4.196 -0.267
Br Mo Pt
1 1 2
direct
0.000 0.000 0.000 Br
0.750 0.750 0.750 Mo
0.250 0.250 0.250 Pt
0.500 0.500 0.500 Pt
```


No. 4
DFT (PBE) results for a relaxed Rb2MoBr6 crystal.

- density (kg/m3) = 4004
- symmetry = Fm-3m
- total DFT energy (no corrections) (eV per cell) = -32.77

```
Rb2MoBr6
1.0
0.000 5.369 5.369
5.369 0.000 5.369
5.369 5.369 0.000
Rb Br Mo
2 6 1
direct
0.250 0.250 0.250 Rb
0.750 0.750 0.750 Rb
0.761 0.239 0.761 Br
0.761 0.239 0.239 Br
0.761 0.761 0.239 Br
0.239 0.761 0.239 Br
0.239 0.239 0.761 Br
0.239 0.761 0.761 Br
0.000 0.000 0.000 Mo
```


No. 5
DFT (PBE) results for a relaxed Mo2SBr2 crystal.

- density (kg/m3) = 5079
- symmetry = Cmcm
- total DFT energy (no corrections) (eV per cell) = -195.51

```
Mo2SBr2
1.0
3.355 -9.297 0.000
3.355 9.297 0.000
0.000 0.000 12.066
Br Mo S
12 12 6
direct
0.631 0.974 0.250 Br
0.889 0.605 0.563 Br
0.369 0.026 0.750 Br
0.111 0.395 0.437 Br
0.889 0.605 0.937 Br
0.395 0.111 0.437 Br
0.974 0.631 0.250 Br
0.605 0.889 0.937 Br
0.395 0.111 0.063 Br
0.605 0.889 0.563 Br
0.026 0.369 0.750 Br
0.111 0.395 0.063 Br
0.256 0.256 0.062 Mo
0.844 0.988 0.398 Mo
0.256 0.256 0.438 Mo
0.744 0.744 0.562 Mo
0.744 0.744 0.938 Mo
0.156 0.012 0.602 Mo
0.156 0.012 0.898 Mo
0.988 0.844 0.102 Mo
0.988 0.844 0.398 Mo
0.844 0.988 0.102 Mo
0.012 0.156 0.898 Mo
0.012 0.156 0.602 Mo
0.381 0.381 0.628 S
0.619 0.619 0.128 S
0.381 0.381 0.872 S
0.088 0.088 0.250 S
0.619 0.619 0.372 S
0.912 0.912 0.750 S
```


No. 6
DFT (PBE) results for a relaxed MoSBr crystal.

- density (kg/m3) = 5391
- piezoelectric modulus e_max (C/m²) = 0.2
- symmetry = F-43m
- total DFT energy (no corrections) (eV per cell) = -75.62

```
MoSBr
1.0
-5.515 -4.403 1.009
-6.091 2.488 2.743
-5.798 0.550 -4.111
Mo S Br
4 4 4
direct
0.152 0.152 0.544 Mo
0.152 0.544 0.152 Mo
0.544 0.152 0.152 Mo
0.152 0.152 0.152 Mo
0.381 0.857 0.381 S
0.857 0.381 0.381 S
0.381 0.381 0.381 S
0.381 0.381 0.857 S
0.364 0.879 0.879 Br
0.879 0.879 0.879 Br
0.879 0.364 0.879 Br
0.879 0.879 0.364 Br
```


Calculated formation energy list, top to bottom, in eV per atom: -1.114 -1.554 0.394 -1.483 -1.011 -1.108